Density functional theory data (GGA-PBE) for a relaxed Sc2FeB2Ru4Rh crystal.

abc: 9.3320 9.3320 3.0295
angles: 90.00 90.00 90.00
Space group P4/mbm (No. 127)
One atom of each set of equivalent atoms:
Sc (0.1761, 0.3239, 0.0000)
Fe (0.0000, 0.0000, 0.0000)
B (0.1271, 0.6271, 0.0000)
Ru (0.0705, 0.7863, 0.5000)
Rh (0.0000, 0.5000, 0.5000)

E_form = -0.516 eV/atom
density = 8492 kg/m3



Density functional theory data (GGA-PBE) for a relaxed Ti2FeB2Ru3Rh2 crystal.

abc: 9.1084 2.9654 9.1572
angles: 90.00 90.17 90.00
Space group P2/m (No. 10)
One atom of each set of equivalent atoms:
Ti (0.1765, 0.0000, 0.1821)
Ti (0.3218, 0.0000, 0.6739)
Fe (0.0000, 0.0000, 0.5000)
Fe (0.5000, 0.0000, 0.0000)
B (0.1241, 0.0000, 0.8729)
B (0.3742, 0.0000, 0.3735)
Ru (0.0733, 0.5000, 0.7132)
Ru (0.2128, 0.5000, 0.4273)
Ru (0.4280, 0.5000, 0.2125)
Rh (0.0000, 0.5000, 0.0000)
Rh (0.2848, 0.5000, 0.9275)
Rh (0.5000, 0.5000, 0.5000)

E_form = -0.513 eV/atom
density = 9160 kg/m3



Density functional theory data (GGA-PBE) for a relaxed Ti2FeB2Ru2Rh3 crystal.

abc: 9.1138 9.2017 3.0017
angles: 90.00 90.00 90.00
Space group Pbam (No. 55)
One atom of each set of equivalent atoms:
Ti (0.1770, 0.1795, 0.0000)
Fe (0.0000, 0.5000, 0.0000)
B (0.1236, 0.8724, 0.0000)
Ru (0.0732, 0.7120, 0.5000)
Rh (0.0000, 0.0000, 0.5000)
Rh (0.2157, 0.4270, 0.5000)

E_form = -0.539 eV/atom
density = 9025 kg/m3



Density functional theory data (GGA-PBE) for a relaxed Ti2FeB2Ru4Rh crystal.

abc: 9.1527 2.9449 9.2421
angles: 90.00 90.20 90.00
Space group P2/m (No. 10)
One atom of each set of equivalent atoms:
Ti (0.1752, 0.0000, 0.1803)
Ti (0.3247, 0.0000, 0.6714)
Fe (0.0000, 0.0000, 0.5000)
Fe (0.5000, 0.0000, 0.0000)
B (0.1223, 0.0000, 0.8734)
B (0.3751, 0.0000, 0.3746)
Ru (0.0000, 0.5000, 0.0000)
Ru (0.0748, 0.5000, 0.7126)
Ru (0.2113, 0.5000, 0.4260)
Ru (0.4268, 0.5000, 0.2103)
Ru (0.5000, 0.5000, 0.5000)
Rh (0.2867, 0.5000, 0.9269)

E_form = -0.510 eV/atom
density = 9071 kg/m3